No. 1
CaZnSi3O8: optimized geometry, PBE.

Computed properties:
* relative energy among the computed polymorphs: 0.000 eV per atom
* calculated formation energy: -300.2 kJ/mol of atoms
* space group: P-1 (2)
* final energy: -7.24 eV/atom

The structure in extended XYZ format:
```
52
Lattice="2.066 6.757 1.850 -3.482 6.146 -4.219 -9.979 1.805 8.266" Properties=species:S:1:pos:R:3 pbc="T T T"
Ca -7.510 6.514 1.445
Ca -10.611 12.164 6.477
Ca -3.886 8.195 4.453
Ca -0.785 2.545 -0.579
Zn -6.203 8.078 -1.189
Zn -1.949 8.809 0.835
Zn -9.446 5.899 5.062
Zn -5.192 6.630 7.086
Si -6.469 5.639 4.318
Si -7.094 10.034 3.429
Si -11.024 8.647 4.510
Si -0.371 6.061 1.388
Si -6.166 2.909 5.994
Si -5.229 11.800 -0.097
Si -4.302 4.675 2.468
Si -4.926 9.070 1.579
Si -2.931 5.089 -0.266
Si -8.465 9.620 6.164
Si -8.168 6.887 7.829
Si -3.228 7.822 -1.932
O -4.317 3.099 2.786
O 1.099 5.354 1.069
O -10.797 8.962 2.927
O -3.209 5.491 3.386
O -8.186 9.218 2.511
O -2.827 3.724 -1.148
O -10.178 12.502 4.053
O -3.454 8.538 2.015
O -7.941 6.171 3.883
O -8.568 10.985 7.045
O -8.084 8.344 7.087
O -5.330 13.165 0.786
O -3.312 6.364 -1.190
O -5.851 8.030 0.758
O -7.313 9.718 5.013
O -6.540 4.180 5.061
O -11.044 7.071 4.828
O -5.772 5.374 2.803
O -0.352 7.638 1.070
O -7.079 11.609 3.112
O -5.623 9.334 3.095
O -2.309 8.863 -1.109
O -6.065 1.543 5.112
O -9.086 5.846 7.007
O -1.217 2.206 1.844
O -5.545 6.679 5.139
O -1.466 5.252 0.463
O -12.495 9.355 4.829
O -9.930 9.456 5.434
O -0.599 5.746 2.970
O -4.856 10.528 0.837
O -4.082 4.991 0.884
```

No. 2
CaZrSi6O17: optimized geometry, PBE.

Computed properties:
* calculated formation energy: -283.1 kJ/mol of atoms
* space group: C2 (5)
* final energy: -7.56 eV/atom

The structure in extended XYZ format:
```
50
Lattice="7.093 7.128 0.000 -7.093 7.128 0.000 0.000 2.652 7.494" Properties=species:S:1:pos:R:3 pbc="T T T"
Ca 3.500 13.128 7.182
Ca 3.500 3.781 0.312
Zr -0.031 6.222 7.456
Zr -0.031 10.687 0.038
Si -1.970 4.456 4.913
Si -1.970 12.453 2.581
Si 1.863 11.568 4.943
Si 1.863 5.341 2.550
Si 1.908 12.741 2.026
Si 1.908 4.168 5.468
Si -2.055 5.660 2.022
Si -2.055 11.248 5.472
Si 6.855 9.053 5.207
Si 6.855 7.856 2.287
Si 0.118 9.025 5.238
Si 0.118 7.883 2.256
O -6.951 8.454 3.747
O -0.184 8.454 3.747
O -1.582 4.964 3.420
O -1.582 11.945 4.074
O 1.470 12.030 3.439
O 1.470 4.878 4.055
O -1.405 5.428 6.084
O -1.405 11.481 1.409
O 1.707 11.670 0.804
O 1.707 5.239 6.689
O 1.316 12.584 6.090
O 1.316 4.325 1.404
O -1.822 4.568 0.813
O -1.822 12.341 6.681
O 3.494 11.676 5.168
O 3.494 5.233 2.326
O -3.622 6.054 2.145
O -3.622 10.855 5.349
O 5.559 10.045 5.094
O 5.559 6.864 2.400
O -6.067 6.949 1.776
O -6.067 9.959 5.718
O 1.424 10.023 5.193
O 1.424 6.885 2.301
O -1.177 7.000 1.783
O -1.177 9.909 5.711
O 0.354 7.831 6.288
O 0.354 9.078 1.206
O -0.536 14.998 6.286
O -0.536 1.911 1.208
O 4.352 9.330 1.657
O 4.352 7.578 5.837
O -3.217 8.314 6.730
O -3.217 8.594 0.764
```

No. 3
CaSm4Tm4O12: optimized geometry, PBE.

Computed properties:
* relative energy among the computed polymorphs: 0.032 eV per atom
* calculated formation energy: -345.5 kJ/mol of atoms
* space group: P1 (1)
* final energy: -7.86 eV/atom

The structure in extended XYZ format:
```
21
Lattice="-1.318 -5.946 0.642 3.634 -1.132 8.623 -4.900 0.647 3.154" Properties=species:S:1:pos:R:3 pbc="T T T"
Ca -1.851 -1.660 2.423
Sm -5.395 -5.349 5.133
Sm -0.306 -3.112 8.083
Sm -2.504 -3.609 4.787
Sm 1.319 -6.459 7.088
Tm -0.116 -6.081 10.222
Tm -0.768 -0.565 6.148
Tm -1.647 -3.205 11.376
Tm 1.071 -3.742 4.804
O -0.478 -0.653 8.248
O 0.903 -2.019 6.154
O 2.373 -1.931 8.790
O -2.092 -2.342 6.721
O -3.510 -1.556 4.067
O -0.650 -2.999 3.725
O -2.194 -3.915 9.361
O 1.170 -4.876 8.857
O -0.384 -5.008 6.258
O -4.622 -4.063 3.400
O -3.567 -4.904 6.447
O -2.303 -5.533 3.284
```

No. 4
CaSm4Tm4O12: optimized geometry, PBE.

Computed properties:
* relative energy among the computed polymorphs: 0.000 eV per atom
* calculated formation energy: -348.6 kJ/mol of atoms
* space group: P1 (1)
* final energy: -7.89 eV/atom

The structure in extended XYZ format:
```
21
Lattice="5.994 0.265 0.364 0.395 9.189 0.741 0.350 0.488 5.875" Properties=species:S:1:pos:R:3 pbc="T T T"
Ca 2.488 8.627 5.895
Sm 0.913 2.642 5.833
Sm 2.999 7.032 3.065
Sm 3.566 3.218 3.421
Sm 5.406 7.074 0.893
Tm 6.311 9.473 3.903
Tm 6.064 5.617 3.959
Tm 3.569 0.910 0.831
Tm 3.246 5.256 6.330
O 1.096 7.290 4.435
O 1.312 5.862 1.692
O 2.042 9.125 2.260
O 1.911 4.498 4.620
O 2.727 1.557 4.776
O 2.398 2.820 1.375
O 4.378 6.654 5.024
O 4.854 8.426 2.789
O 4.384 5.230 2.293
O 5.769 0.759 5.372
O 5.074 3.933 5.084
O 5.079 1.999 2.114
```